1.
Computed, not measured: an optimized crystal structure of P2Pb3O8 at the GGA-PBE level of DFT.

Cell: 9.9749 9.9749 14.6598 Å, 90.00 90.00 120.00°
Fractional coordinates of all 78 atoms:
O: 0.4808 0.5744 0.8745
O: 0.3102 0.8423 0.1226
O: 0.3474 0.0817 0.2101
P: 0.6275 0.6070 0.1237
O: 0.6656 0.9287 0.2914
Pb: 0.6667 0.3333 0.5121
O: 0.9130 0.2634 0.0391
O: 0.4256 0.9064 0.8745
O: 0.5321 0.6898 0.1226
Pb: 0.7390 0.7439 0.3714
O: 0.5192 0.4256 0.1255
O: 0.4265 0.9044 0.3767
O: 0.6898 0.1577 0.8774
O: 0.9064 0.4808 0.1255
O: 0.6496 0.9130 0.9609
P: 0.6070 0.9794 0.8763
Pb: 0.0048 0.2610 0.3714
O: 0.0815 0.7343 0.4606
Pb: 0.2643 0.0097 0.8729
O: 0.4679 0.3102 0.8774
O: 0.7343 0.6526 0.2101
Pb: 0.3333 0.6667 0.4879
O: 0.7369 0.6656 0.7086
P: 0.6260 0.6072 0.6249
O: 0.3471 0.0815 0.5394
O: 0.0713 0.7369 0.2914
O: 0.0936 0.5192 0.8745
Pb: 0.0097 0.7454 0.1271
O: 0.9044 0.4779 0.6233
O: 0.6824 0.1611 0.3758
P: 0.0188 0.6260 0.3751
O: 0.3504 0.0870 0.0391
O: 0.5744 0.0936 0.1255
Pb: 0.6667 0.3333 0.2516
P: 0.3725 0.3930 0.8763
P: 0.0206 0.6275 0.8763
O: 0.2631 0.3344 0.2914
Pb: 0.2561 0.9952 0.3714
O: 0.8423 0.5321 0.8774
O: 0.2634 0.3504 0.9609
O: 0.5735 0.0956 0.6233
O: 0.2657 0.3474 0.7899
O: 0.0817 0.7343 0.7899
P: 0.9812 0.3740 0.6249
O: 0.3344 0.0713 0.7086
O: 0.4787 0.3176 0.3758
O: 0.6529 0.9185 0.4606
O: 0.6526 0.9183 0.7899
Pb: 0.7357 0.9903 0.1271
O: 0.3176 0.8389 0.6242
P: 0.3930 0.0206 0.1237
O: 0.7366 0.6496 0.0391
O: 0.1611 0.4787 0.6242
O: 0.4779 0.5735 0.3767
O: 0.9185 0.2657 0.5394
O: 0.0956 0.5221 0.3767
P: 0.9794 0.3725 0.1237
Pb: 0.7454 0.7357 0.8729
Pb: 0.2546 0.2643 0.1271
P: 0.3928 0.0188 0.6249
O: 0.1577 0.4679 0.1226
P: 0.6072 0.9812 0.3751
P: 0.3740 0.3928 0.3751
O: 0.7343 0.6529 0.5394
Pb: 0.7439 0.0048 0.6286
O: 0.5213 0.6824 0.6242
Pb: 0.6667 0.3333 0.9825
O: 0.5221 0.4265 0.6233
Pb: 0.9952 0.7390 0.6286
Pb: 0.3333 0.6667 0.0175
O: 0.2657 0.3471 0.4606
O: 0.9287 0.2631 0.7086
O: 0.0870 0.7366 0.9609
Pb: 0.2610 0.2561 0.6286
O: 0.9183 0.2657 0.2101
Pb: 0.3333 0.6667 0.7484
O: 0.8389 0.5213 0.3758
Pb: 0.9903 0.2546 0.8729

DFT formation energy   -30.2 eV/f.u.
SG   P-3, No. 147
Relative energy among the computed polymorphs   11.8 kJ/mol of formula units
Total energy after the MP2020 corrections   -7.06 eV/atom

2.
Computed, not measured: an optimized crystal structure of CaBiAu at the GGA-PBE level of DFT.

Cell: 4.8612 4.8612 7.9224 Å, 90.00 90.00 120.00°
Fractional coordinates of all 6 atoms:
Bi: 0.3333 0.6667 0.2927
Ca: 0.0000 0.0000 0.5165
Au: 0.3333 0.6667 0.6908
Bi: 0.6667 0.3333 0.7927
Au: 0.6667 0.3333 0.1908
Ca: 0.0000 0.0000 0.0165

DFT formation energy   -2.0 eV/f.u.
SG   P6_3mc, No. 186

3.
Computed, not measured: an optimized crystal structure of K2MnS2 at the GGA-PBE level of DFT.

Cell: 7.8999 7.8999 7.8999 Å, 132.97 127.94 72.76°
Fractional coordinates of all 10 atoms:
S: 0.9094 0.1022 0.8072
K: 0.5118 0.8528 0.6590
K: 0.4882 0.1472 0.3410
K: 0.1939 0.3528 0.8410
S: 0.2949 0.6022 0.6928
S: 0.7051 0.3978 0.3072
Mn: 0.0000 0.2500 0.2500
S: 0.0906 0.8978 0.1928
Mn: 0.0000 0.7500 0.7500
K: 0.8061 0.6472 0.1590

DFT formation energy   -5.9 eV/f.u.
SG   Ibam, No. 72
Total energy after the MP2020 corrections   -5.11 eV/atom

4.
Computed, not measured: an optimized crystal structure of MgTe6Mo2W2S2 at the GGA-PBE level of DFT.

Cell: 3.4752 3.4753 43.7646 Å, 90.14 90.00 120.00°
Fractional coordinates of all 13 atoms:
Mo: 0.6655 0.3310 0.2875
Te: 0.6679 0.3359 0.1315
W: 0.3337 0.6675 0.0891
Te: 0.3342 0.6684 0.7001
W: 0.6667 0.3333 0.6578
Te: 0.6676 0.3352 0.5113
Te: 0.3325 0.6649 0.6156
Te: 0.6658 0.3316 0.4272
Mg: 0.6628 0.3256 0.2057
S: 0.3328 0.6655 0.3208
Te: 0.6662 0.3324 0.0469
Mo: 0.3334 0.6668 0.4693
S: 0.3317 0.6633 0.2535

DFT formation energy   -3.9 eV/f.u.
SG   Cm, No. 8
Relative energy among the computed polymorphs   0.0 kJ/mol of formula units
Total energy after the MP2020 corrections   -6.17 eV/atom

5.
Computed, not measured: an optimized crystal structure of CaMg14Si at the GGA-PBE level of DFT.

Cell: 6.4487 6.2407 10.3998 Å, 90.00 90.00 118.94°
Fractional coordinates of all 16 atoms:
Mg: 0.8422 0.6711 0.8868
Si: 0.1880 0.8440 0.1250
Mg: 0.6643 0.3359 0.6250
Mg: 0.3362 0.1635 0.3784
Mg: 0.1670 0.3335 0.6250
Mg: 0.6541 0.8336 0.1250
Mg: 0.6541 0.3206 0.1250
Mg: 0.1613 0.8306 0.6250
Mg: 0.3362 0.6727 0.8716
Mg: 0.6643 0.8284 0.6250
Ca: 0.1562 0.3281 0.1250
Mg: 0.8307 0.1654 0.3858
Mg: 0.3362 0.1635 0.8716
Mg: 0.3362 0.6727 0.3784
Mg: 0.8422 0.6711 0.3632
Mg: 0.8307 0.1654 0.8642

DFT formation energy   0.2 eV/f.u.
SG   Amm2, No. 38
Relative energy among the computed polymorphs   0.0 kJ/mol of formula units
Total energy after the MP2020 corrections   -1.85 eV/atom

6.
Computed, not measured: an optimized crystal structure of TbNi5 at the GGA-PBE level of DFT.

Cell: 4.8733 4.8733 3.9405 Å, 90.00 90.00 120.00°
Fractional coordinates of all 6 atoms:
Ni: 0.0000 0.5000 0.5000
Ni: 0.6667 0.3333 0.0000
Ni: 0.5000 0.0000 0.5000
Ni: 0.3333 0.6667 0.0000
Tb: 0.0000 0.0000 0.0000
Ni: 0.5000 0.5000 0.5000

DFT formation energy   -1.9 eV/f.u.
SG   P6/mmm, No. 191

7.
Computed, not measured: an optimized crystal structure of KHoBeF6 at the GGA-PBE level of DFT.

Cell: 5.8419 6.4239 7.0861 Å, 66.99 90.00 90.00°
Fractional coordinates of all 18 atoms:
F: 0.5015 0.8218 0.9652
F: 0.2500 0.0572 0.4088
F: 0.2500 0.4886 0.2626
F: 0.4655 0.2673 0.5955
F: 0.5345 0.7327 0.4045
F: 0.4985 0.1782 0.0348
F: 0.0345 0.2673 0.5955
F: 0.9655 0.7327 0.4045
Be: 0.2500 0.2669 0.4640
F: 0.7500 0.5114 0.7374
Ho: 0.7500 0.1119 0.8198
Ho: 0.2500 0.8881 0.1802
K: 0.7500 0.4286 0.2046
F: 0.9985 0.8218 0.9652
F: 0.7500 0.9428 0.5912
K: 0.2500 0.5714 0.7954
F: 0.0015 0.1782 0.0348
Be: 0.7500 0.7331 0.5360

DFT formation energy   -35.1 eV/f.u.
SG   P2_1/m, No. 11
Total energy after the MP2020 corrections   -6.22 eV/atom

8.
Computed, not measured: an optimized crystal structure of DyZn3 at the GGA-PBE level of DFT.

Cell: 4.3872 6.6909 10.0999 Å, 90.00 90.00 90.00°
Fractional coordinates of all 16 atoms:
Zn: 0.2500 0.4206 0.3542
Zn: 0.2500 0.0385 0.3932
Dy: 0.2500 0.7767 0.8382
Zn: 0.2500 0.2207 0.9567
Zn: 0.7500 0.7793 0.0433
Dy: 0.7500 0.7233 0.3382
Zn: 0.2500 0.9206 0.1458
Zn: 0.7500 0.5794 0.6458
Zn: 0.7500 0.0794 0.8542
Zn: 0.7500 0.4615 0.8932
Zn: 0.7500 0.2793 0.4567
Zn: 0.7500 0.9615 0.6068
Zn: 0.2500 0.7207 0.5433
Dy: 0.7500 0.2233 0.1618
Dy: 0.2500 0.2767 0.6618
Zn: 0.2500 0.5385 0.1068

DFT formation energy   -1.5 eV/f.u.
SG   Pnma, No. 62

9.
Computed, not measured: an optimized crystal structure of La3Ge6Pd4Pt2 at the GGA-PBE level of DFT.

Cell: 4.5058 4.5058 29.5308 Å, 90.00 90.00 90.00°
Fractional coordinates of all 30 atoms:
La: 0.5000 0.5000 0.0854
Ge: 0.0000 0.0000 0.0408
Pd: 0.5000 0.0000 0.9997
La: 0.0000 0.0000 0.9143
Ge: 0.0000 0.0000 0.3749
Pd: 0.0000 0.0000 0.7925
Ge: 0.5000 0.5000 0.9589
La: 0.5000 0.5000 0.7525
Ge: 0.0000 0.5000 0.1667
La: 0.0000 0.0000 0.5812
Pt: 0.5000 0.5000 0.8746
Pt: 0.0000 0.0000 0.1255
Pd: 0.0000 0.5000 0.6666
La: 0.5000 0.5000 0.4193
Pt: 0.5000 0.5000 0.5411
La: 0.0000 0.0000 0.2480
Ge: 0.0000 0.0000 0.7076
Ge: 0.5000 0.5000 0.6256
Ge: 0.0000 0.5000 0.4998
Pd: 0.0000 0.5000 0.9997
Pd: 0.0000 0.5000 0.3336
Ge: 0.5000 0.0000 0.8329
Ge: 0.0000 0.5000 0.8329
Ge: 0.5000 0.0000 0.4998
Pd: 0.5000 0.0000 0.6666
Ge: 0.5000 0.0000 0.1667
Pd: 0.5000 0.0000 0.3336
Pt: 0.5000 0.5000 0.2075
Pd: 0.0000 0.0000 0.4597
Ge: 0.5000 0.5000 0.2922

DFT formation energy   -13.6 eV/f.u.
SG   P4mm, No. 99

10.
Computed, not measured: an optimized crystal structure of CaCu4As4H2O26 at the GGA-PBE level of DFT.

Cell: 6.4705 7.8129 10.6598 Å, 81.04 78.74 83.25°
Fractional coordinates of all 37 atoms:
Cu: 0.3976 0.3793 0.4134
H: 0.7435 0.2081 0.2713
O: 0.4994 0.1829 0.2930
O: 0.8182 0.0396 0.5572
Ca: 0.5000 0.0000 0.0000
O: 0.9021 0.6678 0.5501
O: 0.9001 0.2184 0.2706
O: 0.3246 0.5614 0.5572
O: 0.5780 0.1068 0.7985
O: 0.0999 0.7816 0.7294
As: 0.4299 0.9716 0.3391
O: 0.9958 0.4376 0.7744
As: 0.0788 0.5991 0.6534
As: 0.5701 0.0284 0.6609
O: 0.5006 0.8171 0.7070
O: 0.9929 0.8364 0.2564
O: 0.3439 0.3265 0.0147
O: 0.0913 0.9839 0.9720
Cu: 0.9022 0.9082 0.4088
O: 0.1818 0.9604 0.4428
O: 0.9087 0.0161 0.0280
O: 0.6561 0.6735 0.9853
Cu: 0.6024 0.6207 0.5866
O: 0.6117 0.8477 0.4261
O: 0.4220 0.8932 0.2015
O: 0.0071 0.1636 0.7436
O: 0.3025 0.4656 0.9485
Cu: 0.0978 0.0918 0.5912
O: 0.0979 0.3322 0.4499
O: 0.6281 0.4600 0.7289
H: 0.2565 0.7919 0.7287
O: 0.3719 0.5400 0.2711
O: 0.0042 0.5624 0.2256
O: 0.6975 0.5344 0.0515
O: 0.3883 0.1523 0.5739
As: 0.9212 0.4009 0.3466
O: 0.6754 0.4386 0.4428

DFT formation energy   -24.3 eV/f.u.
SG   P-1, No. 2
Total energy after the MP2020 corrections   -5.32 eV/atom

11.
Computed, not measured: an optimized crystal structure of Be2RuPt at the GGA-PBE level of DFT.

Cell: 3.9787 3.9787 3.9787 Å, 60.00 60.00 60.00°
Fractional coordinates of all 4 atoms:
Be: 0.7500 0.7500 0.7500
Ru: 0.0000 0.0000 0.0000
Pt: 0.5000 0.5000 0.5000
Be: 0.2500 0.2500 0.2500

DFT formation energy   -2.1 eV/f.u.
SG   Fm-3m, No. 225

12.
Computed, not measured: an optimized crystal structure of Ba5Bi3O11 at the GGA-PBE level of DFT.

Cell: 6.2835 6.2835 9.2351 Å, 90.00 90.00 90.04°
Fractional coordinates of all 19 atoms:
O: 0.8293 0.6057 0.5000
Ba: 0.9815 0.0185 0.5000
O: 0.2433 0.2443 0.0000
Ba: 0.4570 0.0115 0.7719
Ba: 0.4570 0.0115 0.2281
O: 0.9890 0.0110 0.2321
O: 0.4918 0.5082 0.2503
O: 0.2594 0.7406 0.5000
O: 0.9890 0.0110 0.7679
Bi: 0.4956 0.5044 0.5000
O: 0.4918 0.5082 0.7497
O: 0.2314 0.7686 0.0000
Ba: 0.9885 0.5430 0.7719
Ba: 0.9885 0.5430 0.2281
O: 0.7429 0.2571 0.0000
O: 0.3943 0.1707 0.5000
Bi: 0.9823 0.0177 0.0000
O: 0.7557 0.7567 0.0000
Bi: 0.4901 0.5099 0.0000

DFT formation energy   -43.9 eV/f.u.
SG   Amm2, No. 38
Total energy after the MP2020 corrections   -6.29 eV/atom